Nd2SO6 | GGA-PBE | optimized geometry

The total energy comes out at -7.425 eV/atom. The calculated density is 5.4 Mg/m³. As for the volume: 258.21 Å³ per cell.

The space group is I222 (No. 23) and the conventional cell measures 4.180, 4.193 and 14.734 Å, with angles of 90.00, 90.00 and 90.00 degrees. The asymmetric unit holds Nd at (0.000, 0.000, 0.174), S at (0.000, 0.000, 0.500), O at (0.000, 0.500, 0.250) and O at (0.202, 0.202, 0.440).